The following is a r2SCAN calculation of a relaxed structure of CuI, from the Materials Project. Values from VASP.

Structure (Quantum ESPRESSO input):
```
&SYSTEM
  ibrav = 0, nat = 4, ntyp = 2
/
ATOMIC_SPECIES
Cu 63.55 Cu.upf
I 126.90 I.upf
CELL_PARAMETERS angstrom
2.1218 -3.6751 0.0000
2.1218 3.6751 0.0000
0.0000 0.0000 6.9884
ATOMIC_POSITIONS angstrom
Cu 2.1218 1.2251 2.6044
Cu 2.1218 -1.2251 6.0986
I 2.1218 -1.2251 3.5104
I 2.1218 1.2251 0.0162
```

## Properties
Crystal system   hexagonal
Space group   No. 186

---

The following is a r2SCAN calculation of a relaxed structure of CuI, from the Materials Project. Values from VASP.

Structure (Quantum ESPRESSO input):
```
&SYSTEM
  ibrav = 0, nat = 8, ntyp = 2
/
ATOMIC_SPECIES
I 126.90 I.upf
Cu 63.55 Cu.upf
CELL_PARAMETERS angstrom
-5.2949 -4.1735 5.1960
2.5551 -3.3985 -0.1259
5.5792 -1.3070 4.6355
ATOMIC_POSITIONS angstrom
I -0.4646 -3.4376 5.4779
I 3.6468 -3.0492 6.4984
I 0.9701 -5.1056 9.0849
I 2.1489 -1.3242 2.8728
Cu 1.4805 -7.3297 7.8373
Cu 0.0513 -5.6693 4.2330
Cu 2.6735 -3.5371 1.6113
Cu 4.1794 -5.2677 5.2372
```

## Properties
Crystal system   monoclinic
Space group   No. 7

---

The following is a r2SCAN calculation of a relaxed structure of CuI4, from the Materials Project. Values from VASP.

Structure (Quantum ESPRESSO input):
```
&SYSTEM
  ibrav = 0, nat = 5, ntyp = 2
/
ATOMIC_SPECIES
I 126.90 I.upf
Cu 63.55 Cu.upf
CELL_PARAMETERS angstrom
-2.4806 2.4806 7.2645
2.4806 -2.4806 7.2645
2.4806 2.4806 -7.2645
ATOMIC_POSITIONS angstrom
I -1.2123 1.2123 5.4805
I 1.2683 1.2683 1.7839
I 1.2123 -1.2123 5.4805
I 1.2123 1.2123 9.0484
Cu 0.0000 0.0000 0.0000
```

## Properties
Crystal system   tetragonal
Space group   No. 121

---

The following is a r2SCAN calculation of a relaxed structure of CuI, from the Materials Project. Values from VASP.

Structure (Quantum ESPRESSO input):
```
&SYSTEM
  ibrav = 0, nat = 4, ntyp = 2
/
ATOMIC_SPECIES
I 126.90 I.upf
Cu 63.55 Cu.upf
CELL_PARAMETERS angstrom
4.0902 0.0000 0.0000
0.0000 4.0902 0.0000
0.0000 0.0000 6.5515
ATOMIC_POSITIONS angstrom
I 3.0676 3.0676 4.8680
I 1.0225 1.0225 1.6835
Cu 1.0225 3.0676 0.0000
Cu 3.0676 1.0225 0.0000
```

## Properties
Crystal system   tetragonal
Space group   No. 129

---

The following is a r2SCAN calculation of a relaxed structure of RbCu2I3, from the Materials Project. Values from VASP.

Structure (Quantum ESPRESSO input):
```
&SYSTEM
  ibrav = 0, nat = 12, ntyp = 3
/
ATOMIC_SPECIES
Cu 63.55 Cu.upf
I 126.90 I.upf
Rb 85.47 Rb.upf
CELL_PARAMETERS angstrom
5.6005 -6.9083 0.0000
5.6005 6.9083 0.0000
0.0000 0.0000 5.3481
ATOMIC_POSITIONS angstrom
Cu 9.4091 0.0000 0.0000
Cu 1.7919 0.0000 2.6740
Cu 1.7919 0.0000 0.0000
Cu 9.4091 0.0000 2.6740
I 8.0071 1.7363 1.3370
I 3.1939 1.7363 1.3370
I 5.6005 -5.3870 4.0111
I 3.1939 -1.7363 4.0111
I 5.6005 5.3870 1.3370
I 8.0071 -1.7363 4.0111
Rb 5.6005 -2.6429 1.3370
Rb 5.6005 2.6429 4.0111
```

## Properties
Crystal system   orthorhombic
Space group   No. 63

---

The following is a r2SCAN calculation of a relaxed structure of CuTe2I, from the Materials Project. Values from VASP.

Structure (Quantum ESPRESSO input):
```
&SYSTEM
  ibrav = 0, nat = 16, ntyp = 3
/
ATOMIC_SPECIES
Te 127.60 Te.upf
Cu 63.55 Cu.upf
I 126.90 I.upf
CELL_PARAMETERS angstrom
-3.1035 -2.3557 -3.3595
-1.4174 -6.3158 5.7382
-8.8133 8.2496 2.3571
ATOMIC_POSITIONS angstrom
Te -5.5782 -6.5209 2.0477
Te -5.4520 -2.2418 2.8698
Te -7.7561 6.0989 2.6881
Te -8.7457 3.7626 3.7668
Te -5.2805 -3.6968 5.2054
Te -7.8823 1.8198 1.8660
Te -4.5886 -4.1845 0.9690
Te -8.0538 3.2748 -0.4696
Cu -10.1064 0.5911 2.0773
Cu -4.2538 0.1838 -1.1723
Cu -9.0805 -0.6057 5.9080
Cu -3.2279 -1.0130 2.6584
I -10.8556 0.8317 4.5799
I -6.5623 -0.7592 -0.3576
I -2.4787 -1.2537 0.1558
I -6.7720 0.3372 5.0934
```

## Properties
Crystal system   monoclinic
Space group   No. 14

---

The following is a r2SCAN calculation of a relaxed structure of In7Cu10, from the Materials Project. Values from VASP.

Structure (Quantum ESPRESSO input):
```
&SYSTEM
  ibrav = 0, nat = 34, ntyp = 2
/
ATOMIC_SPECIES
Cu 63.55 Cu.upf
In 114.82 In.upf
CELL_PARAMETERS angstrom
6.6965 -0.0058 0.0876
0.0988 8.9929 1.3934
-0.0099 -0.0144 9.1008
ATOMIC_POSITIONS angstrom
Cu 1.2020 8.5383 9.9954
Cu 2.6810 5.8273 6.8480
Cu 4.9034 5.3075 8.3349
Cu 0.4681 6.3504 5.3773
Cu 3.4349 7.9832 2.2987
Cu -0.0049 -0.0072 4.5504
Cu 4.1044 3.1454 3.7338
Cu 6.3418 4.6483 3.4709
Cu 6.3174 2.6223 5.2045
Cu 1.0319 1.9414 9.3786
Cu 1.1164 8.9507 3.3809
Cu 5.6690 0.0220 7.2008
Cu 4.9280 7.3456 6.5910
Cu 5.7536 7.0313 1.2031
Cu 3.3505 0.9894 8.2831
Cu 1.8821 3.6652 2.2468
Cu 0.4436 4.3244 7.1109
Cu 0.0494 4.4965 0.6967
Cu 5.5835 0.4344 0.5863
Cu 1.8575 1.6271 3.9908
In 5.3996 2.6333 8.1516
In 1.3263 1.4018 6.6550
In 2.6161 3.8622 8.6432
In 1.9336 4.1711 4.9019
In 3.4174 7.4865 8.7974
In 6.2796 2.1220 2.5684
In 4.1206 1.0674 5.3981
In 5.4591 7.5708 3.9267
In 4.8518 4.8015 5.6798
In 1.3859 6.3394 2.4301
In 0.5059 6.8507 8.0133
In 3.3681 1.4862 1.7844
In 2.6649 7.9053 5.1836
In 4.1694 5.1104 1.9386
```

## Properties
Crystal system   monoclinic
Space group   No. 12

---

The following is a r2SCAN calculation of a relaxed structure of InCu3, from the Materials Project. Values from VASP.

Structure (Quantum ESPRESSO input):
```
&SYSTEM
  ibrav = 0, nat = 8, ntyp = 2
/
ATOMIC_SPECIES
Cu 63.55 Cu.upf
In 114.82 In.upf
CELL_PARAMETERS angstrom
2.7206 -4.7122 0.0000
2.7206 4.7122 0.0000
0.0000 0.0000 4.3213
ATOMIC_POSITIONS angstrom
Cu 1.2764 -0.7369 3.2410
Cu 4.1648 0.7369 1.0803
Cu 1.2764 0.7369 1.0803
Cu 2.7206 3.2383 1.0803
Cu 4.1648 -0.7369 3.2410
Cu 2.7206 -3.2383 3.2410
In 2.7206 -1.5707 1.0803
In 2.7206 1.5707 3.2410
```

## Properties
Crystal system   hexagonal
Space group   No. 194

---

The following is a r2SCAN calculation of a relaxed structure of InCu, from the Materials Project. Values from VASP.

Structure (Quantum ESPRESSO input):
```
&SYSTEM
  ibrav = 0, nat = 4, ntyp = 2
/
ATOMIC_SPECIES
In 114.82 In.upf
Cu 63.55 Cu.upf
CELL_PARAMETERS angstrom
-3.9315 0.0532 1.4045
0.9890 -2.2920 -3.3504
0.9933 -3.8487 2.9260
ATOMIC_POSITIONS angstrom
In -0.4023 -2.4714 -1.0327
In -1.5468 -3.6161 2.0128
Cu 0.4966 -1.9243 1.4630
Cu 0.0000 0.0000 0.0000
```

## Properties
Crystal system   hexagonal
Space group   No. 194

---

The following is a r2SCAN calculation of a relaxed structure of Lu2InCu2, from the Materials Project. Values from VASP.

Structure (Quantum ESPRESSO input):
```
&SYSTEM
  ibrav = 0, nat = 10, ntyp = 3
/
ATOMIC_SPECIES
Cu 63.55 Cu.upf
In 114.82 In.upf
Lu 174.97 Lu.upf
CELL_PARAMETERS angstrom
-1.6957 5.4012 4.6217
4.2702 -3.0246 5.1015
2.8562 1.9521 -1.2334
ATOMIC_POSITIONS angstrom
Cu 2.6916 0.7080 7.3536
Cu -0.1171 1.6686 2.3696
Cu 2.4504 -1.2212 3.7417
Cu 0.1241 3.5978 5.9815
In 1.2872 1.1883 4.8616
In 0.0000 0.0000 0.0000
Lu 4.4134 0.2486 5.1449
Lu 1.0173 4.0801 3.3449
Lu 2.5504 0.8942 1.8526
Lu 2.8803 3.4345 6.6372
```

## Properties
Crystal system   tetragonal
Space group   No. 127

---

The following is a r2SCAN calculation of a relaxed structure of MgInCu4, from the Materials Project. Values from VASP.

Structure (Quantum ESPRESSO input):
```
&SYSTEM
  ibrav = 0, nat = 6, ntyp = 3
/
ATOMIC_SPECIES
Cu 63.55 Cu.upf
Mg 24.30 Mg.upf
In 114.82 In.upf
CELL_PARAMETERS angstrom
0.0000 3.4883 3.4883
3.4883 0.0000 3.4883
3.4883 3.4883 0.0000
ATOMIC_POSITIONS angstrom
Cu 2.6147 4.3620 4.3620
Cu 2.6147 2.6147 2.6147
Cu 4.3620 2.6147 4.3620
Cu 4.3620 4.3620 2.6147
Mg 0.0000 0.0000 0.0000
In 5.2325 5.2325 5.2325
```

## Properties
Crystal system   cubic
Space group   No. 216

---

The following is a r2SCAN calculation of a relaxed structure of NdInCu2, from the Materials Project. Values from VASP.

Structure (Quantum ESPRESSO input):
```
&SYSTEM
  ibrav = 0, nat = 4, ntyp = 3
/
ATOMIC_SPECIES
Cu 63.55 Cu.upf
In 114.82 In.upf
Nd 144.24 Nd.upf
CELL_PARAMETERS angstrom
-4.2035 1.2690 1.8476
-2.4390 -3.0726 2.7026
-0.4119 0.7553 4.6854
ATOMIC_POSITIONS angstrom
Cu -5.2908 -0.7862 6.9267
Cu -1.7636 -0.2621 2.3089
In 0.0000 0.0000 0.0000
Nd -3.5272 -0.5241 4.6178
```

## Properties
Crystal system   cubic
Space group   No. 225

---

Number 1: formation enthalpy at 0 K -190 meV per atom. Number 2: formation enthalpy at 0 K -192 meV per atom. Number 3: formation enthalpy at 0 K 41 meV per atom. Number 4: formation enthalpy at 0 K -185 meV per atom. Number 5: formation enthalpy at 0 K -706 meV per atom. Number 6: formation enthalpy at 0 K -158 meV per atom. Number 7: formation enthalpy at 0 K -44 meV per atom. Number 8: formation enthalpy at 0 K 1 meV per atom. Number 9: formation enthalpy at 0 K 13 meV per atom. Number 10: formation enthalpy at 0 K -461 meV per atom. Number 11: formation enthalpy at 0 K -122 meV per atom. Number 12: formation enthalpy at 0 K -328 meV per atom.